Computed, not measured: Tc2P3 after structural relaxation at the meta-GGA r2SCAN level of DFT.

Calculated values
offset from the most stable computed form: 0 meV per atom
energy of formation: -0.59 eV/atom

Unit cell a=6.3091 b=6.3310 c=7.6803 alpha=95.63 beta=101.75 gamma=104.42
Last column: nearest neighbours and their distance in Å.
Element x y z (fractional)
Tc (0.0356, 0.3611, 0.3616)  6 P 2.33-2.44
Tc (0.1228, 0.0854, 0.8592)  5 P 2.29-2.44
Tc (0.4028, 0.9131, 0.1468)  5 P 2.31-2.45
Tc (0.4206, 0.6316, 0.6312)  6 P 2.33-2.46
Tc (0.5794, 0.3684, 0.3688)  6 P 2.33-2.46
Tc (0.5972, 0.0869, 0.8532)  5 P 2.31-2.45
Tc (0.8772, 0.9146, 0.1408)  5 P 2.29-2.44
Tc (0.9644, 0.6389, 0.6384)  6 P 2.33-2.44
P (0.0378, 0.6840, 0.9641)  1 P 2.40, 3 Tc 2.42-2.45
P (0.1297, 0.3506, 0.6769)  4 Tc 2.29-2.39
P (0.2354, 0.0763, 0.3614)  1 P 2.23, 4 Tc 2.41-2.46
P (0.2653, 0.9384, 0.6189)  1 P 2.23, 4 Tc 2.37-2.42
P (0.3611, 0.6324, 0.3191)  4 Tc 2.31-2.43
P (0.4664, 0.3216, 0.0420)  1 P 2.37, 3 Tc 2.38-2.43
P (0.5336, 0.6784, 0.9580)  1 P 2.37, 3 Tc 2.38-2.43
P (0.6389, 0.3676, 0.6809)  4 Tc 2.31-2.43
P (0.7347, 0.0616, 0.3811)  1 P 2.23, 4 Tc 2.37-2.42
P (0.7646, 0.9237, 0.6386)  1 P 2.23, 4 Tc 2.41-2.46
P (0.8703, 0.6494, 0.3231)  4 Tc 2.29-2.39
P (0.9622, 0.3160, 0.0359)  1 P 2.40, 3 Tc 2.42-2.45